Density functional theory data (GGA-PBE) for a relaxed structure of Tl3Ag.

Unit cell a=6.0500 b=6.0500 c=6.0500 alpha=134.32 beta=134.32 gamma=66.59
Sites, in units of the cell vectors:
Tl: 0.7500 0.2500 0.5000
Tl: 0.2500 0.7500 0.5000
Tl: 0.5000 0.5000 0.0000
Ag: 0.0000 0.0000 0.0000

Output
Total magnetic moment (Bohr magnetons per cell): 0.0
ΔE_f (eV/atom): 0.109
Total DFT energy (no corrections) (eV/atom): -2.371
ΔE to the lowest computed polymorph (eV/atom): 0.002

=====

Density functional theory data (GGA-PBE) for a relaxed structure of KB6S4Cl6O8.

Unit cell a=20.7325 b=9.8427 c=10.5440 alpha=79.37 beta=90.00 gamma=90.00
Sites, in units of the cell vectors:
K: 0.3454 0.8511 0.1453
K: 0.8454 0.1489 0.3547
K: 0.6546 0.1489 0.8547
K: 0.1546 0.8511 0.6453
B: 0.4978 0.3673 0.6284
B: 0.9978 0.6327 0.8716
B: 0.5022 0.6327 0.3716
B: 0.0022 0.3673 0.1284
B: 0.5593 0.3789 0.5076
B: 0.0593 0.6211 0.9924
B: 0.4407 0.6211 0.4924
B: 0.9407 0.3789 0.0076
B: 0.4775 0.3416 0.4693
B: 0.9775 0.6584 0.0307
B: 0.5225 0.6584 0.5307
B: 0.0225 0.3416 0.9693
B: 0.4251 0.4412 0.5534
B: 0.9251 0.5588 0.9466
B: 0.5749 0.5588 0.4466
B: 0.0749 0.4412 0.0534
B: 0.4749 0.5392 0.6431
B: 0.9749 0.4608 0.8569
B: 0.5251 0.4608 0.3569
B: 0.0251 0.5392 0.1431
B: 0.5576 0.5010 0.6144
B: 0.0576 0.4990 0.8856
B: 0.4424 0.4990 0.3856
B: 0.9424 0.5010 0.1144
S: 0.2271 0.1189 0.8862
S: 0.7271 0.8811 0.6138
S: 0.7729 0.8811 0.1138
S: 0.2729 0.1189 0.3862
S: 0.2207 0.5953 0.3801
S: 0.7207 0.4047 0.1199
S: 0.7793 0.4047 0.6199
S: 0.2793 0.5953 0.8801
S: 0.4132 0.2499 0.0504
S: 0.9132 0.7501 0.4496
S: 0.5868 0.7501 0.9496
S: 0.0868 0.2499 0.5504
S: 0.4014 0.9419 0.7570
S: 0.9014 0.0581 0.7430
S: 0.5986 0.0581 0.2430
S: 0.0986 0.9419 0.2570
Cl: 0.4978 0.2269 0.7656
Cl: 0.9978 0.7731 0.7344
Cl: 0.5022 0.7731 0.2344
Cl: 0.0022 0.2269 0.2656
Cl: 0.6221 0.2511 0.5179
Cl: 0.1221 0.7489 0.9821
Cl: 0.3779 0.7489 0.4821
Cl: 0.8779 0.2511 0.0179
Cl: 0.4543 0.1764 0.4362
Cl: 0.9543 0.8236 0.0638
Cl: 0.5457 0.8236 0.5638
Cl: 0.0457 0.1764 0.9362
Cl: 0.3462 0.3824 0.6077
Cl: 0.8462 0.6176 0.8923
Cl: 0.6538 0.6176 0.3923
Cl: 0.1538 0.3824 0.1077
Cl: 0.4491 0.5787 0.7948
Cl: 0.9491 0.4213 0.7052
Cl: 0.5509 0.4213 0.2052
Cl: 0.0509 0.5787 0.2948
Cl: 0.6183 0.5005 0.7363
Cl: 0.1183 0.4995 0.7637
Cl: 0.3817 0.4995 0.2637
Cl: 0.8817 0.5005 0.2363
O: 0.2545 0.0084 0.9807
O: 0.7545 0.9916 0.5193
O: 0.7455 0.9916 0.0193
O: 0.2455 0.0084 0.4807
O: 0.1918 0.0787 0.7803
O: 0.6918 0.9213 0.7197
O: 0.8082 0.9213 0.2197
O: 0.3082 0.0787 0.2803
O: 0.2349 0.7065 0.2725
O: 0.7349 0.2935 0.2275
O: 0.7651 0.2935 0.7275
O: 0.2651 0.7065 0.7725
O: 0.1962 0.6355 0.4965
O: 0.6962 0.3645 0.0035
O: 0.8038 0.3645 0.5035
O: 0.3038 0.6355 0.9965
O: 0.4254 0.1030 0.0925
O: 0.9254 0.8970 0.4075
O: 0.5746 0.8970 0.9075
O: 0.0746 0.1030 0.5925
O: 0.3507 0.2885 0.9935
O: 0.8507 0.7115 0.5065
O: 0.6493 0.7115 0.0065
O: 0.1493 0.2885 0.4935
O: 0.4056 0.8930 0.8956
O: 0.9056 0.1070 0.6044
O: 0.5944 0.1070 0.1044
O: 0.0944 0.8930 0.3956
O: 0.3439 0.0188 0.7100
O: 0.8439 0.9812 0.7900
O: 0.6561 0.9812 0.2900
O: 0.1561 0.0188 0.2100

Output
Total magnetic moment (Bohr magnetons per cell): 0.0
ΔE_f (eV/atom): -1.227
Total DFT energy (no corrections) (eV/atom): -5.344

=====

Density functional theory data (GGA-PBE) for a relaxed structure of Dy3Fe2Si3.

Unit cell a=5.6546 b=5.6546 c=13.5972 alpha=90.00 beta=90.00 gamma=137.73
Sites, in units of the cell vectors:
Dy: 0.5803 0.4197 0.6120
Dy: 0.4197 0.5803 0.3880
Dy: 0.4197 0.5803 0.1120
Dy: 0.5803 0.4197 0.8880
Dy: 0.1354 0.8646 0.2500
Dy: 0.8646 0.1354 0.7500
Fe: 0.2845 0.7155 0.9196
Fe: 0.7155 0.2845 0.0804
Fe: 0.7155 0.2845 0.4196
Fe: 0.2845 0.7155 0.5804
Si: 0.8738 0.1262 0.5398
Si: 0.1262 0.8738 0.4602
Si: 0.1262 0.8738 0.0398
Si: 0.8738 0.1262 0.9602
Si: 0.8238 0.1762 0.2500
Si: 0.1762 0.8238 0.7500

Output
Total magnetic moment (Bohr magnetons per cell): 0.0
ΔE_f (eV/atom): -0.632
Total DFT energy (no corrections) (eV/atom): -6.538